## w
{"formula": "MgCoNi4O8", "functional": "PBE with a Hubbard U", "state": "relaxed", "lattice_angstrom": [[5.185, -2.847, 0.000], [5.185, 2.847, 0.000], [-3.301, 0.000, 4.961]], "species": ["Mg", "Co", "Ni", "Ni", "Ni", "Ni", "O", "O", "O", "O", "O", "O", "O", "O"], "frac_coords": [[0.000, 0.000, 0.000], [0.650, 0.650, 0.420], [0.158, 0.655, 0.418], [0.203, 0.203, 0.532], [0.655, 0.158, 0.418], [0.657, 0.657, 0.932], [0.414, 0.899, 0.204], [0.418, 0.418, 0.641], [0.427, 0.876, 0.653], [0.434, 0.434, 0.232], [0.876, 0.427, 0.653], [0.877, 0.877, 0.606], [0.895, 0.895, 0.196], [0.899, 0.414, 0.204]], "magnetic_moment_mub_per_atom": 0.500, "mass_density_g_cm3": 5.057}

---

## x
{"formula": "MgCoNi4O8", "functional": "PBE with a Hubbard U", "state": "relaxed", "lattice_angstrom": [[4.944, -2.907, 0.000], [4.944, 2.907, 0.000], [-3.362, 0.000, 4.852]], "species": ["Mg", "Co", "Ni", "Ni", "Ni", "Ni", "O", "O", "O", "O", "O", "O", "O", "O"], "frac_coords": [[0.000, 0.000, 0.000], [0.500, 0.500, 0.500], [0.000, 0.000, 0.500], [0.000, 0.500, 0.500], [0.500, 0.000, 0.500], [0.500, 0.500, 0.000], [0.247, 0.725, 0.725], [0.249, 0.249, 0.703], [0.261, 0.261, 0.284], [0.275, 0.753, 0.275], [0.725, 0.247, 0.725], [0.739, 0.739, 0.716], [0.751, 0.751, 0.297], [0.753, 0.275, 0.275]], "magnetic_moment_mub_per_atom": 0.357, "mass_density_g_cm3": 5.310}

---

Quick look at relative energies in kJ/mol of atoms: w 0.0; x 2.1.